Entry 1:
The following is a DFT calculation (PBE-GGA) of crystalline Sr2LaGa11O20 at its relaxed geometry.

Properties
As for the uncorrected energy: -6.28 eV per atom. As for the formation energy: -2547 meV per atom. The density comes out at 5174 kg/m³.

```
data_Sr2LaGa11O20
_symmetry_space_group_name_H-M 'C 1 m 1'
_symmetry_Int_Tables_number 8
_cell_length_a 15.533
_cell_length_b 11.813
_cell_length_c 5.166
_cell_angle_alpha 90.00
_cell_angle_beta 108.43
_cell_angle_gamma 90.00
loop_
_symmetry_equiv_pos_as_xyz
'x,y,z'
'x,-y,z'
'x+1/2,y+1/2,z'
'x+1/2,-y+1/2,z'
loop_
_atom_site_label
_atom_site_fract_x
_atom_site_fract_y
_atom_site_fract_z
Sr1 0.000 0.000 0.000
Sr2 0.224 0.500 0.710
La1 0.289 0.000 0.300
Ga1 0.004 0.500 0.002
Ga2 0.006 0.368 0.499
Ga3 0.144 0.285 0.160
Ga4 0.148 0.136 0.648
Ga5 0.362 0.364 0.347
Ga6 0.367 0.216 0.837
O1 0.069 0.500 0.391
O2 0.079 0.381 0.887
O3 0.084 0.249 0.415
O4 0.101 0.000 0.489
O5 0.156 0.139 0.016
O6 0.245 0.363 0.359
O7 0.266 0.133 0.631
O8 0.361 0.360 0.985
O9 0.413 0.500 0.500
O10 0.422 0.116 0.115
O11 0.426 0.250 0.580
O12 0.433 0.000 0.609
```

***

Entry 2:
The following is a DFT calculation (PBE-GGA) of crystalline La3TaGa5O14 at its relaxed geometry.

Properties
As for the uncorrected energy: -7.35 eV per atom. As for the formation energy: -2934 meV per atom. The density comes out at 6059 kg/m³.

```
data_La3TaGa5O14
_symmetry_space_group_name_H-M 'P 3 2 1'
_symmetry_Int_Tables_number 150
_cell_length_a 8.3833
_cell_length_b 8.3833
_cell_length_c 5.2695
_cell_angle_alpha 90.00
_cell_angle_beta 90.00
_cell_angle_gamma 120.00
loop_
_symmetry_equiv_pos_as_xyz
'x,y,z'
'-y,x-y,z'
'-x+y,-x,z'
'y,x,-z'
'x-y,-y,-z'
'-x,-x+y,-z'
loop_
_atom_site_label
_atom_site_fract_x
_atom_site_fract_y
_atom_site_fract_z
La1 0.0000 0.5726 0.0000
Ta1 0.0000 0.0000 0.0000
Ga1 0.0000 0.2435 0.5000
Ga2 0.3333 0.6667 0.5302
O1 0.0779 0.8577 0.2339
O2 0.1468 0.4575 0.6969
O3 0.3333 0.6667 0.1813
```

***

Entry 3:
The following is a DFT calculation (PBE-GGA) of crystalline La5Ti4GaO17 at its relaxed geometry.

Properties
As for the uncorrected energy: -8.52 eV per atom. As for the formation energy: -3637 meV per atom. The density comes out at 5906 kg/m³.

```
data_La5Ti4GaO17
_symmetry_space_group_name_H-M 'P n n m'
_symmetry_Int_Tables_number 58
_cell_length_a 5.555
_cell_length_b 31.432
_cell_length_c 3.954
_cell_angle_alpha 90.00
_cell_angle_beta 90.00
_cell_angle_gamma 90.00
loop_
_symmetry_equiv_pos_as_xyz
'x,y,z'
'-x,-y,-z'
'-x,-y,z'
'x,y,-z'
'x+1/2,-y+1/2,-z+1/2'
'-x+1/2,y+1/2,z+1/2'
'-x+1/2,y+1/2,-z+1/2'
'x+1/2,-y+1/2,z+1/2'
loop_
_atom_site_label
_atom_site_fract_x
_atom_site_fract_y
_atom_site_fract_z
La1 0.000 0.000 0.000
La2 0.005 0.411 0.500
La3 0.070 0.787 0.000
Ti1 0.005 0.908 0.500
Ti2 0.034 0.677 0.000
Ga1 0.000 0.500 0.000
O1 0.000 0.500 0.500
O2 0.004 0.671 0.500
O3 0.005 0.084 0.000
O4 0.187 0.276 0.000
O5 0.196 0.621 0.000
O6 0.203 0.213 0.500
O7 0.210 0.036 0.500
O8 0.216 0.863 0.500
O9 0.218 0.449 0.000
```